No. 1
# Te6MoW3S2

An optimized crystal structure of Te6MoW3S2 (GGA-PBE, the Materials Project database).

Lattice parameters (Å, degrees): 3.4517 3.4517 39.4240 90.00 90.00 120.00
Fractional positions:
Te 0.3333 0.6667 0.1409
S 0.0000 0.0000 0.6196
S 0.0000 0.0000 0.6954
Mo 0.0000 0.0000 0.0939
Te 0.3333 0.6667 0.5169
W 0.0000 0.0000 0.4697
Te 0.0000 0.0000 0.2346
W 0.3333 0.6667 0.2818
Te 0.0000 0.0000 0.3290
W 0.3333 0.6667 0.6575
Te 0.3333 0.6667 0.0469
Te 0.3333 0.6667 0.4225

Results
final energy = -79.8 eV per cell
V = 33.90 Å³ per atom
ΔE to the lowest computed polymorph = 1 meV/atom
DFT formation energy = -0.333 eV per atom

---

No. 2
# Te4Mo2WS2

An optimized crystal structure of Te4Mo2WS2 (GGA-PBE, the Materials Project database).

Lattice parameters (Å, degrees): 3.4171 3.4171 31.7443 90.00 90.00 120.00
Fractional positions:
Te 0.0000 0.0000 0.2883
S 0.3333 0.6667 0.5310
Te 0.3333 0.6667 0.1744
Mo 0.3333 0.6667 0.3470
Te 0.3333 0.6667 0.0568
Mo 0.0000 0.0000 0.1156
W 0.0000 0.0000 0.5783
S 0.3333 0.6667 0.6257
Te 0.0000 0.0000 0.4058

Results
final energy = -58.9 eV per cell
V = 35.67 Å³ per atom
ΔE to the lowest computed polymorph = 0 meV/atom
DFT formation energy = -0.494 eV per atom

---

No. 3
# Te2Mo2WS4

An optimized crystal structure of Te2Mo2WS4 (GGA-PBE, the Materials Project database).

Lattice parameters (Å, degrees): 3.3049 3.3049 30.5547 90.00 90.00 120.00
Fractional positions:
Mo 0.3333 0.6667 0.2314
S 0.6667 0.3333 0.2814
Te 0.3333 0.6667 0.9369
S 0.6667 0.3333 0.1813
Mo 0.3333 0.6667 0.7686
S 0.6667 0.3333 0.8187
W 0.6667 0.3333 0.0000
Te 0.3333 0.6667 0.0631
S 0.6667 0.3333 0.7186

Results
final energy = -62.3 eV per cell
V = 32.11 Å³ per atom
ΔE to the lowest computed polymorph = 50 meV/atom
DFT formation energy = -0.757 eV per atom

---

No. 4
# Te6MoW3S2

An optimized crystal structure of Te6MoW3S2 (GGA-PBE, the Materials Project database).

Lattice parameters (Å, degrees): 3.4635 3.4635 39.2993 90.00 90.00 120.00
Fractional positions:
Mo 0.6667 0.3333 0.2818
S 0.3333 0.6667 0.2440
Te 0.3333 0.6667 0.6104
W 0.6667 0.3333 0.6576
W 0.3333 0.6667 0.4696
Te 0.6667 0.3333 0.1412
Te 0.6667 0.3333 0.0467
W 0.3333 0.6667 0.0939
S 0.3333 0.6667 0.3196
Te 0.6667 0.3333 0.4224
Te 0.6667 0.3333 0.5168
Te 0.3333 0.6667 0.7047

Results
final energy = -79.5 eV per cell
V = 34.02 Å³ per atom
ΔE to the lowest computed polymorph = 33 meV/atom
DFT formation energy = -0.302 eV per atom

---

No. 5
# Te4Mo3WS4

An optimized crystal structure of Te4Mo3WS4 (GGA-PBE, the Materials Project database).

Lattice parameters (Å, degrees): 3.3635 3.3635 39.3325 90.00 90.00 120.00
Fractional positions:
S 0.3333 0.6667 0.2433
S 0.3333 0.6667 0.3201
W 0.6667 0.3333 0.6587
Mo 0.6667 0.3333 0.2817
S 0.6667 0.3333 0.0555
Te 0.6667 0.3333 0.5166
Te 0.6667 0.3333 0.4206
Mo 0.3333 0.6667 0.4686
Mo 0.3333 0.6667 0.0939
Te 0.3333 0.6667 0.7069
S 0.6667 0.3333 0.1323
Te 0.3333 0.6667 0.6104

Results
final energy = -79.9 eV per cell
V = 32.11 Å³ per atom
ΔE to the lowest computed polymorph = 37 meV/atom
DFT formation energy = -0.610 eV per atom

---

No. 6
# Te4MoW2S2

An optimized crystal structure of Te4MoW2S2 (GGA-PBE, the Materials Project database).

Lattice parameters (Å, degrees): 3.4202 3.4202 31.6736 90.00 90.00 120.00
Fractional positions:
Te 0.3333 0.6667 0.1745
W 0.3333 0.6667 0.3470
Mo 0.0000 0.0000 0.1156
S 0.0000 0.0000 0.3943
Te 0.3333 0.6667 0.0568
W 0.0000 0.0000 0.5783
Te 0.3333 0.6667 0.5192
Te 0.3333 0.6667 0.6375
S 0.0000 0.0000 0.2996

Results
final energy = -60.5 eV per cell
V = 35.65 Å³ per atom
ΔE to the lowest computed polymorph = 0 meV/atom
DFT formation energy = -0.428 eV per atom

---

No. 7
# Te4MoW2S2

An optimized crystal structure of Te4MoW2S2 (GGA-PBE, the Materials Project database).

Lattice parameters (Å, degrees): 3.4255 3.4255 31.7596 90.00 90.00 120.00
Fractional positions:
S 0.3333 0.6667 0.0685
Te 0.3333 0.6667 0.5195
S 0.3333 0.6667 0.1628
Mo 0.0000 0.0000 0.1157
W 0.0000 0.0000 0.5785
Te 0.0000 0.0000 0.4057
Te 0.3333 0.6667 0.6374
W 0.3333 0.6667 0.3468
Te 0.0000 0.0000 0.2879

Results
final energy = -60.0 eV per cell
V = 35.86 Å³ per atom
ΔE to the lowest computed polymorph = 47 meV/atom
DFT formation energy = -0.382 eV per atom

---

No. 8
# Te6MoW3S2

An optimized crystal structure of Te6MoW3S2 (GGA-PBE, the Materials Project database).

Lattice parameters (Å, degrees): 3.4574 3.4574 39.4283 90.00 90.00 120.00
Fractional positions:
Te 0.0000 0.0000 0.6104
S 0.3333 0.6667 0.0561
W 0.3333 0.6667 0.2818
Te 0.3333 0.6667 0.5168
Te 0.0000 0.0000 0.2346
W 0.0000 0.0000 0.4697
Mo 0.0000 0.0000 0.0940
Te 0.0000 0.0000 0.7047
Te 0.3333 0.6667 0.4225
S 0.3333 0.6667 0.1318
W 0.3333 0.6667 0.6576
Te 0.0000 0.0000 0.3289

Results
final energy = -79.4 eV per cell
V = 34.01 Å³ per atom
ΔE to the lowest computed polymorph = 34 meV/atom
DFT formation energy = -0.300 eV per atom

---

No. 9
# Te6MoW3S2

An optimized crystal structure of Te6MoW3S2 (GGA-PBE, the Materials Project database).

Lattice parameters (Å, degrees): 3.4539 3.4539 39.3566 90.00 90.00 120.00
Fractional positions:
Te 0.3333 0.6667 0.5169
Te 0.3333 0.6667 0.1409
W 0.0000 0.0000 0.4696
S 0.0000 0.0000 0.3196
Te 0.3333 0.6667 0.0469
S 0.0000 0.0000 0.2439
W 0.3333 0.6667 0.6576
Te 0.3333 0.6667 0.4224
Te 0.0000 0.0000 0.6103
Te 0.0000 0.0000 0.7048
W 0.3333 0.6667 0.2818
Mo 0.0000 0.0000 0.0939

Results
final energy = -79.9 eV per cell
V = 33.88 Å³ per atom
ΔE to the lowest computed polymorph = 1 meV/atom
DFT formation energy = -0.334 eV per atom

---

No. 10
# Te6MoW3S2

An optimized crystal structure of Te6MoW3S2 (GGA-PBE, the Materials Project database).

Lattice parameters (Å, degrees): 3.4551 3.4551 39.4411 90.00 90.00 120.00
Fractional positions:
Te 0.3333 0.6667 0.7048
Te 0.3333 0.6667 0.6104
Mo 0.6667 0.3333 0.2817
W 0.3333 0.6667 0.0939
W 0.6667 0.3333 0.6576
S 0.6667 0.3333 0.0562
Te 0.3333 0.6667 0.2348
W 0.3333 0.6667 0.4697
Te 0.6667 0.3333 0.5168
Te 0.6667 0.3333 0.4225
S 0.6667 0.3333 0.1317
Te 0.3333 0.6667 0.3287

Results
final energy = -79.9 eV per cell
V = 33.98 Å³ per atom
ΔE to the lowest computed polymorph = 1 meV/atom
DFT formation energy = -0.334 eV per atom

---

No. 11
# Te4MoW2S2

An optimized crystal structure of Te4MoW2S2 (GGA-PBE, the Materials Project database).

Lattice parameters (Å, degrees): 3.4175 3.4175 31.7835 90.00 90.00 120.00
Fractional positions:
Te 0.3333 0.6667 0.0569
Mo 0.0000 0.0000 0.1155
S 0.3333 0.6667 0.5311
W 0.0000 0.0000 0.5783
S 0.3333 0.6667 0.6255
Te 0.3333 0.6667 0.1743
Te 0.0000 0.0000 0.2880
Te 0.0000 0.0000 0.4061
W 0.3333 0.6667 0.3470

Results
final energy = -60.5 eV per cell
V = 35.72 Å³ per atom
ΔE to the lowest computed polymorph = 1 meV/atom
DFT formation energy = -0.428 eV per atom

---

No. 12
# TeMoWS3

An optimized crystal structure of TeMoWS3 (GGA-PBE, the Materials Project database).

Lattice parameters (Å, degrees): 3.2716 3.2716 38.1942 90.00 90.00 120.00
Fractional positions:
S 0.3333 0.6667 0.0531
S 0.3333 0.6667 0.4298
S 0.3333 0.6667 0.5107
S 0.0000 0.0000 0.6172
Mo 0.0000 0.0000 0.0933
S 0.0000 0.0000 0.6981
W 0.0000 0.0000 0.4702
Te 0.0000 0.0000 0.3322
Mo 0.3333 0.6667 0.2817
W 0.3333 0.6667 0.6576
S 0.3333 0.6667 0.1336
Te 0.0000 0.0000 0.2312

Results
final energy = -86.3 eV per cell
V = 29.50 Å³ per atom
ΔE to the lowest computed polymorph = 1 meV/atom
DFT formation energy = -0.887 eV per atom

---

No. 13
# TeMoWS3

An optimized crystal structure of TeMoWS3 (GGA-PBE, the Materials Project database).

Lattice parameters (Å, degrees): 3.2737 3.2737 37.2345 90.00 90.00 120.00
Fractional positions:
S 0.6667 0.3333 0.0525
Mo 0.3333 0.6667 0.0939
W 0.6667 0.3333 0.2818
S 0.6667 0.3333 0.4284
Mo 0.3333 0.6667 0.4697
S 0.3333 0.6667 0.6160
Te 0.3333 0.6667 0.2297
S 0.3333 0.6667 0.6991
W 0.6667 0.3333 0.6575
Te 0.3333 0.6667 0.3339
S 0.6667 0.3333 0.1352
S 0.6667 0.3333 0.5110

Results
final energy = -85.9 eV per cell
V = 28.80 Å³ per atom
ΔE to the lowest computed polymorph = 39 meV/atom
DFT formation energy = -0.848 eV per atom

---

No. 14
# TeMoWS3

An optimized crystal structure of TeMoWS3 (GGA-PBE, the Materials Project database).

Lattice parameters (Å, degrees): 3.2749 3.2749 37.3502 90.00 90.00 120.00
Fractional positions:
S 0.6667 0.3333 0.1353
S 0.6667 0.3333 0.4285
Mo 0.6667 0.3333 0.2818
S 0.6667 0.3333 0.5108
Te 0.3333 0.6667 0.7095
S 0.6667 0.3333 0.0526
W 0.6667 0.3333 0.6576
W 0.3333 0.6667 0.0939
Mo 0.3333 0.6667 0.4696
S 0.3333 0.6667 0.2407
Te 0.3333 0.6667 0.6056
S 0.3333 0.6667 0.3229

Results
final energy = -85.9 eV per cell
V = 28.91 Å³ per atom
ΔE to the lowest computed polymorph = 39 meV/atom
DFT formation energy = -0.849 eV per atom

---

No. 15
# Te4Mo3WS4

An optimized crystal structure of Te4Mo3WS4 (GGA-PBE, the Materials Project database).

Lattice parameters (Å, degrees): 3.3567 3.3567 38.3149 90.00 90.00 120.00
Fractional positions:
Te 0.0000 0.0000 0.7069
S 0.3333 0.6667 0.0544
Te 0.0000 0.0000 0.2323
Te 0.0000 0.0000 0.3312
S 0.3333 0.6667 0.5093
W 0.0000 0.0000 0.4697
S 0.3333 0.6667 0.4300
Mo 0.3333 0.6667 0.2818
S 0.3333 0.6667 0.1334
Mo 0.0000 0.0000 0.0939
Mo 0.3333 0.6667 0.6576
Te 0.0000 0.0000 0.6081

Results
final energy = -80.4 eV per cell
V = 31.16 Å³ per atom
ΔE to the lowest computed polymorph = 0 meV/atom
DFT formation energy = -0.647 eV per atom

---

No. 16
# TeMoWS3

An optimized crystal structure of TeMoWS3 (GGA-PBE, the Materials Project database).

Lattice parameters (Å, degrees): 3.2757 3.2757 37.2562 90.00 90.00 120.00
Fractional positions:
S 0.0000 0.0000 0.6162
W 0.0000 0.0000 0.4697
S 0.0000 0.0000 0.6989
S 0.3333 0.6667 0.0526
Te 0.3333 0.6667 0.4178
W 0.3333 0.6667 0.2818
S 0.0000 0.0000 0.2404
S 0.0000 0.0000 0.3232
Te 0.3333 0.6667 0.5215
S 0.3333 0.6667 0.1353
Mo 0.3333 0.6667 0.6576
Mo 0.0000 0.0000 0.0939

Results
final energy = -85.9 eV per cell
V = 28.85 Å³ per atom
ΔE to the lowest computed polymorph = 40 meV/atom
DFT formation energy = -0.848 eV per atom

---

No. 17
# Te2Mo2WS4

An optimized crystal structure of Te2Mo2WS4 (GGA-PBE, the Materials Project database).

Lattice parameters (Å, degrees): 3.3000 3.3000 30.2671 90.00 90.00 120.00
Fractional positions:
S 0.3333 0.6667 0.5276
S 0.0000 0.0000 0.3976
S 0.3333 0.6667 0.6290
Te 0.3333 0.6667 0.0524
Te 0.3333 0.6667 0.1789
Mo 0.0000 0.0000 0.1156
S 0.0000 0.0000 0.2965
Mo 0.3333 0.6667 0.3470
W 0.0000 0.0000 0.5783

Results
final energy = -62.7 eV per cell
V = 31.72 Å³ per atom
ΔE to the lowest computed polymorph = 0 meV/atom
DFT formation energy = -0.806 eV per atom

---

No. 18
# Te2Mo2WS4

An optimized crystal structure of Te2Mo2WS4 (GGA-PBE, the Materials Project database).

Lattice parameters (Å, degrees): 3.2987 3.2987 30.5246 90.00 90.00 120.00
Fractional positions:
S 0.3333 0.6667 0.0655
W 0.0000 0.0000 0.5784
S 0.3333 0.6667 0.6287
S 0.3333 0.6667 0.1657
Te 0.0000 0.0000 0.2841
Te 0.0000 0.0000 0.4098
Mo 0.0000 0.0000 0.1156
Mo 0.3333 0.6667 0.3470
S 0.3333 0.6667 0.5280

Results
final energy = -62.7 eV per cell
V = 31.96 Å³ per atom
ΔE to the lowest computed polymorph = 0 meV/atom
DFT formation energy = -0.806 eV per atom

---

No. 19
# Te4Mo3WS4

An optimized crystal structure of Te4Mo3WS4 (GGA-PBE, the Materials Project database).

Lattice parameters (Å, degrees): 3.3580 3.3580 40.3438 90.00 90.00 120.00
Fractional positions:
S 0.3333 0.6667 0.0562
Mo 0.0000 0.0000 0.0937
S 0.0000 0.0000 0.6202
Te 0.3333 0.6667 0.5182
Te 0.3333 0.6667 0.4245
Mo 0.3333 0.6667 0.2800
Te 0.0000 0.0000 0.2332
S 0.3333 0.6667 0.1313
Te 0.0000 0.0000 0.3269
W 0.3333 0.6667 0.6578
S 0.0000 0.0000 0.6955
Mo 0.0000 0.0000 0.4713

Results
final energy = -80.4 eV per cell
V = 32.83 Å³ per atom
ΔE to the lowest computed polymorph = 0 meV/atom
DFT formation energy = -0.648 eV per atom

---

No. 20
# Te4Mo3WS4

An optimized crystal structure of Te4Mo3WS4 (GGA-PBE, the Materials Project database).

Lattice parameters (Å, degrees): 3.3634 3.3634 38.3173 90.00 90.00 120.00
Fractional positions:
Te 0.3333 0.6667 0.3314
S 0.6667 0.3333 0.5091
Mo 0.3333 0.6667 0.4697
Te 0.3333 0.6667 0.6083
Te 0.3333 0.6667 0.2322
S 0.6667 0.3333 0.4302
Mo 0.3333 0.6667 0.0939
Te 0.3333 0.6667 0.7068
Mo 0.6667 0.3333 0.6575
S 0.6667 0.3333 0.0544
S 0.6667 0.3333 0.1334
W 0.6667 0.3333 0.2818

Results
final energy = -79.9 eV per cell
V = 31.28 Å³ per atom
ΔE to the lowest computed polymorph = 36 meV/atom
DFT formation energy = -0.611 eV per atom